[1]
Entry from Materials Project: an optimized crystal structure of MgTi2Tl2W2O10F2 (GGA+U).

E above lowest polymorph	0.002	eV/atom
total moment	2.00	Bohr magnetons per cell

abc: 7.3071 7.3265 7.5716
angles: 93.79 115.71 118.87
Closest atoms and distances in Å follow each position.
Atoms (fractional coordinates):
Mg1 0.0000 0.0000 0.0000  1 F 1.91, 2 O 1.94-1.96
Ti1 0.1250 0.2570 0.3839  2 O 1.79-1.82, 1 F 1.92
Ti2 0.5896 0.2227 0.8126  3 O 1.84-1.99, 1 F 1.97
Tl1 0.4473 0.6323 0.0839  4 O 2.74-2.93
Tl2 0.8879 0.6927 0.6786  2 O 2.33-2.38
W1 0.0734 0.7238 0.3029  6 O 1.87-2.06
W2 0.5660 0.2079 0.2918  6 O 1.92-2.07
O1 0.1969 0.5247 0.3708  1 Ti 1.79
O2 0.2879 0.9203 0.5802  1 W 1.87, 1 Ti 2.07
O3 0.2996 0.2700 0.2271  1 Mg 1.94, 1 Ti 2.06, 1 W 2.07
O4 0.3137 0.9006 0.2142  2 W 1.92-2.04
O5 0.4788 0.1479 0.9910  1 Ti 1.84, 1 W 2.03
O6 0.6665 0.2995 0.5949  1 Ti 1.99, 1 W 2.03
O7 0.7935 0.5309 0.3489  2 W 2.00-2.05
O8 0.8358 0.1654 0.3667  1 Ti 1.82, 1 W 1.99
O9 0.8423 0.5148 0.0040  1 Ti 1.88, 1 W 2.01
O10 0.9361 0.9125 0.2166  1 Mg 1.96, 1 W 2.06, 1 Ti 2.14
F1 0.3439 0.3245 0.6741  1 Ti 1.92
F2 0.7882 0.0983 0.8866  1 Mg 1.91, 1 Ti 1.97

---

[2]
Entry from Materials Project: an optimized crystal structure of MgTi2Tl2W2O10F2 (GGA+U).

E above lowest polymorph	0.009	eV/atom
total moment	2.00	Bohr magnetons per cell

abc: 7.3939 7.3939 7.6102
angles: 119.99 119.99 60.63
Closest atoms and distances in Å follow each position.
Atoms (fractional coordinates):
Mg1 0.0000 0.0000 0.0000  2 O 1.96, 1 F 2.10
Ti1 0.2460 0.2460 0.8223  2 O 1.81, 1 F 2.03
Ti2 0.2608 0.2608 0.3379  2 O 1.80, 1 F 1.93
Tl1 0.6472 0.6472 0.0295  3 O 2.84-2.92
Tl2 0.7669 0.7669 0.6028  1 O 2.21
W1 0.2347 0.7459 0.3030  6 O 1.86-2.08
W2 0.7459 0.2347 0.3030  6 O 1.86-2.08
O1 0.1702 0.5419 0.3536  1 Ti 1.80
O2 0.1739 0.5356 0.9852  1 Ti 1.81
O3 0.2931 0.9235 0.2134  1 Mg 1.96, 1 W 2.03, 1 Ti 2.11
O4 0.2943 0.9263 0.5909  1 W 1.86
O5 0.5356 0.1739 0.9852  1 Ti 1.81
O6 0.5419 0.1702 0.3536  1 Ti 1.80
O7 0.5578 0.5578 0.3463  2 W 2.04, 1 Tl 2.21
O8 0.9096 0.9096 0.1799  2 W 2.04, 1 Mg 2.24
O9 0.9235 0.2931 0.2134  1 Mg 1.96, 1 W 2.03, 1 Ti 2.11
O10 0.9263 0.2943 0.5909  1 W 1.86
F1 0.1483 0.1483 0.9575  1 Ti 2.03, 1 Mg 2.10
F2 0.3128 0.3128 0.6314  2 Ti 1.93-2.07

---

[3]
Entry from Materials Project: an optimized crystal structure of MgTi2Tl2W2O10F2 (GGA+U).

E above lowest polymorph	0.029	eV/atom
total moment	0.02	Bohr magnetons per cell

abc: 7.3753 7.3753 7.3923
angles: 119.80 119.80 62.52
Closest atoms and distances in Å follow each position.
Atoms (fractional coordinates):
Mg1 0.0000 0.0000 0.0000  2 O 1.99
Ti1 0.4047 0.1116 0.5125  4 O 1.83-2.04, 1 F 2.04
Ti2 0.8884 0.5953 0.4875  4 O 1.83-2.04, 1 F 2.04
Tl1 0.5810 0.0746 0.0989  4 O 2.62-2.92
Tl2 0.9254 0.4190 0.9011  4 O 2.62-2.92
W1 0.3876 0.6124 0.5000  6 O 1.89-1.99
W2 0.3924 0.6076 0.0000  6 O 1.97-2.03
O1 0.0693 0.6837 0.8177  1 Mg 1.99, 1 W 2.03, 1 Ti 2.04
O2 0.0945 0.6531 0.4437  1 W 1.89, 1 Ti 1.95
O3 0.3163 0.9307 0.1823  1 Mg 1.99, 1 W 2.03, 1 Ti 2.04
O4 0.3316 0.5333 0.1819  2 W 1.97-1.98
O5 0.3469 0.9055 0.5563  1 W 1.89, 1 Ti 1.95
O6 0.4446 0.2935 0.8026  1 Ti 1.83, 1 W 2.01
O7 0.4537 0.2990 0.4429  1 Ti 1.91, 1 W 1.99
O8 0.4667 0.6684 0.8181  2 W 1.97-1.98
O9 0.7010 0.5463 0.5571  1 Ti 1.91, 1 W 1.99
O10 0.7065 0.5554 0.1974  1 Ti 1.83, 1 W 2.01
F1 0.0661 0.2749 0.4134  2 Ti 2.04-2.12
F2 0.7251 0.9339 0.5866  2 Ti 2.04-2.12

---

[4]
Entry from Materials Project: an optimized crystal structure of MgTi2Tl2W2O10F2 (GGA+U).

E above lowest polymorph	0.000	eV/atom
total moment	2.00	Bohr magnetons per cell

abc: 7.3818 7.3818 7.5718
angles: 120.71 120.71 60.56
Closest atoms and distances in Å follow each position.
Atoms (fractional coordinates):
Mg1 0.0000 0.0000 0.0000  3 O 2.00-2.10
Ti1 0.2712 0.2712 0.7193  4 O 1.83-2.05, 2 F 2.04
Ti2 0.2752 0.2752 0.2296  4 O 1.83-2.05, 1 F 1.96
Tl1 0.6584 0.6584 0.4564  3 O 2.84-2.95
Tl2 0.8231 0.8231 0.1696  3 O 2.56-2.76
W1 0.2692 0.7670 0.7228  6 O 1.87-2.09
W2 0.7670 0.2692 0.7228  6 O 1.87-2.09
O1 0.1952 0.5662 0.7731  1 Ti 1.83
O2 0.1968 0.5665 0.4026  1 Ti 1.83, 1 W 2.04
O3 0.3103 0.9471 0.0422  1 Mg 2.00, 1 W 2.02, 1 Ti 2.05
O4 0.3134 0.9514 0.6581  1 W 1.87, 1 Ti 2.05
O5 0.5662 0.1952 0.7731  1 Ti 1.83
O6 0.5665 0.1968 0.4026  1 Ti 1.83, 1 W 2.04
O7 0.5925 0.5925 0.8133  2 W 2.01
O8 0.9318 0.9318 0.6711  2 W 2.09, 1 Mg 2.10
O9 0.9471 0.3103 0.0422  1 Mg 2.00, 1 W 2.02, 1 Ti 2.05
O10 0.9514 0.3134 0.6581  1 W 1.87, 1 Ti 2.05
F1 0.1823 0.1823 0.3899  2 Ti 2.04-2.14
F2 0.3289 0.3289 0.0342  2 Ti 1.96-2.04

---

[5]
Entry from Materials Project: an optimized crystal structure of MgV6O5F19 (GGA+U).

E above lowest polymorph	0.043	eV/atom
total moment	2.98	Bohr magnetons per cell

abc: 5.1891 5.4634 15.8218
angles: 81.24 89.22 88.60
Closest atoms and distances in Å follow each position.
Atoms (fractional coordinates):
Mg1 0.0000 0.0000 0.0000  4 F 1.86-2.08
V1 0.0351 0.1750 0.5566  1 O 1.62, 2 F 1.76-1.78
V2 0.5019 0.2723 0.2224  3 F 1.77-1.89, 2 O 1.87-1.98
V3 0.5023 0.9460 0.8664  1 O 1.74, 1 F 1.77
V4 0.5448 0.6734 0.5446  1 O 1.61, 2 F 1.77-1.78
V5 0.9485 0.7650 0.2259  2 O 1.69-1.75, 1 F 1.76
V6 0.9710 0.4772 0.8705  2 F 1.75-1.89, 1 O 1.86
O1 0.2038 0.3947 0.5838  1 V 1.62
O2 0.6817 0.6836 0.8502  2 V 1.74-1.86
O3 0.7242 0.0104 0.2042  2 V 1.75-1.87
O4 0.7723 0.5250 0.2055  1 V 1.69
O5 0.7744 0.8646 0.5180  1 V 1.61
F1 0.0919 0.8439 0.1088  1 Mg 1.86, 1 V 1.98
F2 0.1098 0.1829 0.4471  1 V 1.76
F3 0.1485 0.5378 0.7747  1 V 1.75
F4 0.1682 0.7524 0.9160  2 V 2.06-2.13, 1 Mg 2.19
F5 0.2188 0.0579 0.2408  1 V 1.89
F6 0.2590 0.2003 0.9166  1 Mg 2.08, 2 V 2.09-2.15
F7 0.2684 0.5585 0.2406  2 V 1.98-2.01
F8 0.2902 0.9050 0.5814  2 V 1.95-1.96
F9 0.3401 0.0543 0.7696  1 V 1.77
F10 0.3777 0.6787 0.4478  1 V 1.77
F11 0.4282 0.3482 0.1103  1 V 1.80
F12 0.5655 0.2368 0.3335  1 V 1.77
F13 0.6023 0.5666 0.6549  1 V 1.78
F14 0.6446 0.9140 0.9819  1 Mg 1.95, 1 V 1.96
F15 0.7248 0.3720 0.5214  2 V 1.95
F16 0.7817 0.1895 0.8405  2 V 1.99
F17 0.8751 0.0566 0.6541  1 V 1.78
F18 0.8874 0.3585 0.9862  1 V 1.89, 1 Mg 2.01
F19 0.9245 0.7293 0.3381  1 V 1.76

---

[6]
Entry from Materials Project: an optimized crystal structure of MgV6O5F19 (GGA+U).

E above lowest polymorph	0.045	eV/atom
total moment	3.00	Bohr magnetons per cell

abc: 5.2757 5.5157 15.4298
angles: 79.79 89.37 88.50
Closest atoms and distances in Å follow each position.
Atoms (fractional coordinates):
Mg1 0.0000 0.0000 0.0000  3 F 1.92-2.01, 1 O 2.13
V1 0.4394 0.4794 0.7721  1 O 1.63, 2 F 1.77-1.79
V2 0.4936 0.8455 0.1121  2 F 1.77-1.94
V3 0.5104 0.2545 0.4346  1 O 1.65, 3 F 1.77-1.82
V4 0.9364 0.9912 0.7588  1 O 1.62, 1 F 1.77
V5 0.9626 0.7495 0.4345  1 O 1.66, 3 F 1.77-1.80
V6 0.9675 0.3980 0.1090  3 F 1.76-1.94, 1 O 1.80
O1 0.2555 0.2443 0.7946  1 V 1.63
O2 0.6926 0.4967 0.4142  1 V 1.65
O3 0.7077 0.8146 0.7419  1 V 1.62
O4 0.7751 0.9978 0.4114  1 V 1.66
O5 0.8102 0.6909 0.0728  2 V 1.80-1.99
F1 0.0662 0.3597 0.9925  1 V 1.91, 1 Mg 2.01
F2 0.0669 0.7074 0.3284  1 V 1.77
F3 0.0843 0.0771 0.6544  1 V 1.77
F4 0.1686 0.0399 0.1243  2 V 2.02-2.19, 1 Mg 2.17
F5 0.1976 0.7331 0.7953  2 V 1.95-1.97
F6 0.2100 0.3891 0.4641  1 V 1.82
F7 0.2543 0.8826 0.4607  1 V 1.80
F8 0.2872 0.5392 0.1323  2 V 1.94-2.01
F9 0.3583 0.8919 0.9939  1 V 1.94, 1 Mg 1.97
F10 0.3885 0.5803 0.6582  1 V 1.77
F11 0.3991 0.2245 0.3291  1 V 1.77
F12 0.5721 0.1264 0.5461  1 V 1.77
F13 0.5738 0.8206 0.2247  1 V 1.77
F14 0.5751 0.4860 0.8773  1 V 1.79
F15 0.6973 0.1583 0.0753  2 V 2.05-2.10, 1 Mg 2.22
F16 0.7441 0.3063 0.7422  2 V 1.94-1.97
F17 0.8881 0.9854 0.8833  1 Mg 1.92, 1 V 1.93
F18 0.8887 0.6354 0.5462  1 V 1.77
F19 0.8933 0.3001 0.2207  1 V 1.76

---

Number 1: energy of formation from the pure elements -2495 meV/atom. Number 2: energy of formation from the pure elements -2488 meV/atom. Number 3: energy of formation from the pure elements -2468 meV/atom. Number 4: energy of formation from the pure elements -2497 meV/atom. Number 5: energy of formation from the pure elements -2834 meV/atom. Number 6: energy of formation from the pure elements -2832 meV/atom.